Entry 1:
An optimized crystal structure of Sm11Sn10, computed with r²SCAN.

Unit cell a=11.8293 b=11.8293 c=12.1115 alpha=119.23 beta=119.23 gamma=90.00
Last column: nearest neighbours and their distance in Å.
Positions (direct):
Sm 0.0617 0.8101 0.6202  4 Sn 3.12-3.42
Sm 0.0702 0.3986 0.7972  7 Sn 3.14-3.33
Sm 0.1745 0.1745 0.9998  3 Sn 2.98-3.33
Sm 0.1746 0.8254 0.0000  3 Sn 2.98-3.34
Sm 0.1900 0.4416 0.3798  4 Sn 3.12-3.42
Sm 0.1899 0.9383 0.3798  4 Sn 3.12-3.42
Sm 0.2730 0.6016 0.2031  7 Sn 3.14-3.33
Sm 0.3369 0.3369 0.6739  8 Sn 3.47-3.55
Sm 0.3984 0.7270 0.7969  7 Sn 3.14-3.33
Sm 0.3986 0.0702 0.7972  7 Sn 3.14-3.33
Sm 0.4416 0.1900 0.3798  4 Sn 3.12-3.42
Sm 0.5584 0.8100 0.6202  4 Sn 3.12-3.42
Sm 0.6014 0.9298 0.2028  7 Sn 3.14-3.33
Sm 0.6016 0.2730 0.2031  7 Sn 3.14-3.34
Sm 0.6631 0.6631 0.3261  8 Sn 3.47-3.55
Sm 0.7270 0.3984 0.7969  7 Sn 3.14-3.34
Sm 0.8101 0.0617 0.6202  4 Sn 3.12-3.42
Sm 0.8100 0.5584 0.6202  4 Sn 3.12-3.42
Sm 0.8254 0.1746 0.0000  3 Sn 2.98-3.34
Sm 0.8255 0.8255 0.0002  3 Sn 2.98-3.33
Sm 0.9298 0.6014 0.2028  7 Sn 3.14-3.33
Sm 0.9383 0.1899 0.3798  4 Sn 3.12-3.42
Sn 0.0001 0.3564 0.0001  6 Sm 2.98-3.19
Sn 0.9999 0.6436 0.9999  6 Sm 2.98-3.19
Sn 0.1129 0.1129 0.2257  8 Sm 3.27-3.53
Sn 0.1152 0.1152 0.6447  1 Sn 2.91, 2 Sm 3.14
Sn 0.1152 0.5294 0.6446  1 Sn 2.91, 2 Sm 3.14
Sn 0.2500 0.7500 0.5000  8 Sm 3.12-3.30
Sn 0.3564 0.0001 0.0001  6 Sm 2.98-3.19
Sn 0.3741 0.3741 0.0004  2 Sn 2.98, 5 Sm 3.33
Sn 0.3740 0.6260 0.0000  2 Sn 2.98, 5 Sm 3.33-3.34
Sn 0.4707 0.4707 0.3553  1 Sn 2.91, 2 Sm 3.14
Sn 0.4706 0.8848 0.3554  1 Sn 2.91, 2 Sm 3.14
Sn 0.5294 0.1152 0.6446  1 Sn 2.91, 2 Sm 3.14
Sn 0.5293 0.5293 0.6447  1 Sn 2.91, 2 Sm 3.14
Sn 0.6260 0.3740 0.0000  2 Sn 2.98, 5 Sm 3.33-3.34
Sn 0.6259 0.6259 0.9996  2 Sn 2.98, 5 Sm 3.33
Sn 0.6436 0.9999 0.9999  6 Sm 2.98-3.19
Sn 0.7500 0.2500 0.5000  8 Sm 3.12-3.30
Sn 0.8848 0.4706 0.3554  1 Sn 2.91, 2 Sm 3.14
Sn 0.8848 0.8848 0.3553  1 Sn 2.91, 2 Sm 3.14
Sn 0.8871 0.8871 0.7743  8 Sm 3.27-3.53

Calculated values
Magnetic moment ... 0.059 μB/cell
Calculated formation energy ... -0.88 eV/atom
VASP energy ... -1185.92 eV per cell

***

Entry 2:
An optimized crystal structure of BaCr2O7, computed with r²SCAN.

Unit cell a=11.6395 b=11.6395 c=9.5135 alpha=91.95 beta=91.95 gamma=91.17
Last column: nearest neighbours and their distance in Å.
Positions (direct):
Ba 0.0385 0.9615 0.7500  8 O 2.76-2.97
Ba 0.0504 0.5388 0.7845  9 O 2.72-2.96
Ba 0.4574 0.5426 0.7500  8 O 2.69-2.84
Ba 0.4612 0.9496 0.7155  9 O 2.72-2.96
Ba 0.5388 0.0504 0.2845  9 O 2.72-2.96
Ba 0.5426 0.4574 0.2500  8 O 2.69-2.84
Ba 0.9496 0.4612 0.2155  9 O 2.72-2.96
Ba 0.9615 0.0385 0.2500  8 O 2.76-2.97
Cr 0.0929 0.2506 0.5010  4 O 1.61-1.75
Cr 0.1277 0.7455 0.0618  4 O 1.60-1.76
Cr 0.2440 0.5925 0.4600  4 O 1.61-1.75
Cr 0.2478 0.3647 0.0058  4 O 1.61-1.75
Cr 0.2506 0.0929 0.0010  4 O 1.61-1.75
Cr 0.2545 0.8723 0.4382  4 O 1.60-1.76
Cr 0.3647 0.2478 0.5058  4 O 1.61-1.75
Cr 0.4075 0.7560 0.0400  4 O 1.61-1.75
Cr 0.5925 0.2440 0.9600  4 O 1.61-1.75
Cr 0.6353 0.7522 0.4942  4 O 1.61-1.75
Cr 0.7455 0.1277 0.5618  4 O 1.60-1.76
Cr 0.7494 0.9071 0.9990  4 O 1.61-1.75
Cr 0.7522 0.6353 0.9942  4 O 1.61-1.75
Cr 0.7560 0.4075 0.5400  4 O 1.61-1.75
Cr 0.8723 0.2545 0.9382  4 O 1.60-1.76
Cr 0.9071 0.7494 0.4990  4 O 1.61-1.75
O 0.0015 0.7258 0.6241  1 Cr 1.63
O 0.0448 0.8241 0.1536  1 Cr 1.60
O 0.0755 0.1179 0.5444  1 Cr 1.62
O 0.0822 0.3371 0.6351  1 Cr 1.61
O 0.1014 0.6095 0.0821  1 Cr 1.62
O 0.1095 0.7694 0.8953  1 Cr 1.63
O 0.1179 0.0755 0.0444  1 Cr 1.62
O 0.1179 0.3677 0.0591  1 Cr 1.61
O 0.1422 0.5078 0.3974  1 Cr 1.61
O 0.1759 0.9552 0.3464  1 Cr 1.60
O 0.2199 0.7278 0.3910  2 Cr 1.75-1.76
O 0.2282 0.2673 0.4275  2 Cr 1.75
O 0.2306 0.8905 0.6047  1 Cr 1.63
O 0.2401 0.6023 0.6311  1 Cr 1.63
O 0.2651 0.4618 0.8880  1 Cr 1.63
O 0.2673 0.2282 0.9275  2 Cr 1.75
O 0.2722 0.7801 0.1090  2 Cr 1.75-1.76
O 0.2742 0.9985 0.8759  1 Cr 1.63
O 0.3371 0.0822 0.1351  1 Cr 1.61
O 0.3383 0.3838 0.1362  1 Cr 1.61
O 0.3677 0.1179 0.5591  1 Cr 1.61
O 0.3701 0.5466 0.4212  1 Cr 1.62
O 0.3838 0.3383 0.6362  1 Cr 1.61
O 0.3905 0.8986 0.4179  1 Cr 1.62
O 0.3977 0.7599 0.8689  1 Cr 1.63
O 0.4534 0.6299 0.0788  1 Cr 1.62
O 0.4618 0.2651 0.3880  1 Cr 1.63
O 0.4922 0.8578 0.1026  1 Cr 1.61
O 0.5078 0.1422 0.8974  1 Cr 1.61
O 0.5382 0.7349 0.6120  1 Cr 1.63
O 0.5466 0.3701 0.9212  1 Cr 1.62
O 0.6023 0.2401 0.1311  1 Cr 1.63
O 0.6095 0.1014 0.5821  1 Cr 1.62
O 0.6162 0.6617 0.3638  1 Cr 1.61
O 0.6299 0.4534 0.5788  1 Cr 1.62
O 0.6323 0.8821 0.4409  1 Cr 1.61
O 0.6617 0.6162 0.8638  1 Cr 1.61
O 0.6629 0.9178 0.8649  1 Cr 1.61
O 0.7258 0.0015 0.1241  1 Cr 1.63
O 0.7278 0.2199 0.8910  2 Cr 1.75-1.76
O 0.7327 0.7718 0.0725  2 Cr 1.75
O 0.7349 0.5382 0.1120  1 Cr 1.63
O 0.7599 0.3977 0.3689  1 Cr 1.63
O 0.7694 0.1095 0.3953  1 Cr 1.63
O 0.7718 0.7327 0.5725  2 Cr 1.75
O 0.7801 0.2722 0.6090  2 Cr 1.75-1.76
O 0.8241 0.0448 0.6536  1 Cr 1.60
O 0.8578 0.4922 0.6026  1 Cr 1.61
O 0.8821 0.6323 0.9409  1 Cr 1.61
O 0.8821 0.9245 0.9556  1 Cr 1.62
O 0.8905 0.2306 0.1047  1 Cr 1.63
O 0.8986 0.3905 0.9179  1 Cr 1.62
O 0.9178 0.6629 0.3649  1 Cr 1.61
O 0.9245 0.8821 0.4556  1 Cr 1.62
O 0.9552 0.1759 0.8464  1 Cr 1.60
O 0.9985 0.2742 0.3759  1 Cr 1.63

Calculated values
Magnetic moment ... 0.000 μB/cell
Calculated formation energy ... -2.18 eV/atom
VASP energy ... -962.40 eV per cell